# Mn10NiN8

An optimized crystal structure of Mn10NiN8 (PBE, the Materials Project database).

Output
- energy of formation from the pure elements (kJ/mol of formula units) = -688.0
- total energy (eV per atom) = -8.860
- spin magnetization (μB/atom) = 0.941

Cell lengths 7.580, 7.580, 6.515 Å; angles 105.93, 105.93, 30.97 degrees
Sites, in units of the cell vectors:
Mn  0.042  0.042  0.228
Mn  0.148  0.148  0.708
Mn  0.215  0.215  0.169
Mn  0.325  0.325  0.570
Mn  0.405  0.405  0.042
Mn  0.595  0.595  0.958
Mn  0.675  0.675  0.430
Mn  0.785  0.785  0.831
Mn  0.852  0.852  0.292
Mn  0.958  0.958  0.772
Ni  0.500  0.500  0.500
N  0.096  0.096  0.954
N  0.178  0.178  0.427
N  0.351  0.351  0.283
N  0.455  0.455  0.762
N  0.545  0.545  0.238
N  0.649  0.649  0.717
N  0.822  0.822  0.573
N  0.904  0.904  0.046